# 1
Density functional theory data (GGA+U) for a geometry-optimized Li3MnP2O8 structure.

```
56
Lattice="0.000 6.060 0.000 -0.184 0.000 9.479 10.098 0.000 -0.199" Properties=species:S:1:pos:R:3 pbc="T T T"
O 1.020 1.515 8.215
O 8.275 5.775 3.279
O 4.089 4.545 5.854
O 8.184 3.315 8.019
O 6.646 2.760 0.846
O 6.646 0.270 0.846
O 0.366 4.545 3.284
O 5.733 1.515 8.166
O 4.494 1.515 0.846
O 3.359 3.300 3.695
O 1.639 2.745 6.001
O 3.359 5.790 3.695
O 4.402 1.515 5.585
O 5.420 4.545 8.435
O 5.512 4.545 3.695
O 8.803 4.545 5.805
O 0.274 4.545 8.024
O 3.268 5.790 8.434
O 8.275 3.315 3.279
O 1.638 0.285 6.001
O 3.268 3.300 8.434
O 8.184 5.775 8.019
O 9.548 1.515 5.996
O 6.554 2.760 5.586
O 5.825 1.515 3.426
O 9.640 1.515 1.257
O 1.730 0.285 1.262
O 4.181 4.545 1.114
O 8.894 4.545 1.065
O 6.554 0.270 5.586
O 1.111 1.515 3.476
O 1.730 2.745 1.262
P 5.872 1.515 4.940
P 5.964 1.515 0.200
P 4.042 4.545 4.341
P 0.918 1.515 6.639
P 8.904 4.545 7.381
P 8.996 4.545 2.642
P 3.951 4.545 9.080
P 1.010 1.515 1.899
Mn 7.235 4.545 0.001
Mn 7.143 4.545 4.740
Mn 2.771 1.515 4.540
Mn 2.679 1.515 9.280
Li 5.003 3.030 2.270
Li 10.006 0.000 4.541
Li -0.184 0.000 9.479
Li 5.003 0.000 2.270
Li 7.875 1.515 2.329
Li 2.131 4.545 2.212
Li 4.911 3.030 7.010
Li 4.911 6.060 7.010
Li -0.092 3.030 4.740
Li -0.184 3.030 9.479
Li 2.039 4.545 6.951
Li 7.783 1.515 7.069
```

## Properties
Energy of formation in eV/atom: -2.600
Offset from the most stable computed form in meV per atom: 3
Size of the total moment in μB per formula unit: 0.0

=====

# 2
Density functional theory data (GGA+U) for a geometry-optimized YCoO3 structure.

```
20
Lattice="5.297 0.001 0.000 0.001 5.675 0.000 -0.001 0.000 7.478" Properties=species:S:1:pos:R:3 pbc="T T T"
O 1.029 1.085 4.140
O 3.678 1.754 0.401
O 3.677 1.754 3.338
O 0.582 2.659 1.869
O 1.619 3.922 7.077
O 4.715 3.017 5.609
O 1.619 3.922 4.140
O 4.268 4.591 3.338
O 4.268 4.591 0.401
O 3.230 0.180 5.608
O 1.029 1.084 7.077
O 2.067 5.496 1.870
Y 0.113 5.235 5.608
Y 5.184 0.441 1.870
Y 2.536 2.398 5.608
Y 2.761 3.278 1.870
Co 2.648 0.000 3.739
Co 0.000 2.838 3.739
Co 0.000 2.838 0.000
Co 2.648 0.000 0.000
```

## Properties
Energy of formation in eV/atom: -2.605
Space-group type: Pnma, No. 62